Entry 1:
## BaCaO2 (PBE-GGA)

Data for a geometry-optimized BaCaO2 structure.

Values from the calculation:
Density, Mg/m³: 4.63
Energy relative to the elements, kcal/mol of atoms: -66.076
Spin magnetization, μB per atom: 0.000
E above lowest polymorph, meV per atom: 145
Space-group type: P4/mmm

a = 3.760 Å, b = 3.760 Å, c = 5.309 Å
α = 90.00°, β = 90.00°, γ = 90.00°
Atoms (fractional coordinates):
Ba1 0.500 0.500 0.000
Ca1 0.000 0.000 0.500
O1 0.000 0.000 0.000
O2 0.500 0.500 0.500

Entry 2:
## BaCaO3 (PBE-GGA)

Data for a geometry-optimized BaCaO3 structure.

Values from the calculation:
Density, Mg/m³: 4.21
Energy relative to the elements, kcal/mol of atoms: -52.578
Spin magnetization, μB per atom: 0.400
Space-group type: Pm-3m

a = 4.464 Å, b = 4.464 Å, c = 4.464 Å
α = 90.00°, β = 90.00°, γ = 90.00°
Atoms (fractional coordinates):
Ba1 0.000 0.000 0.000
Ca1 0.500 0.500 0.500
O1 0.500 0.500 0.000
O2 0.500 0.000 0.500
O3 0.000 0.500 0.500

Q: The highest density belongs to which entry?
A: BaCaO2